Entry 1:
The following is a meta-GGA r2SCAN calculation of an optimized crystal structure of Li2ZnSi, from Materials Project.

abc: 4.185 4.185 16.467
angles: 90.00 90.00 120.00
Fractional coordinates of all 16 atoms:
1 Li 0.667 0.333 0.791
2 Li 0.333 0.667 0.209
3 Li 0.667 0.333 0.459
4 Li 0.667 0.333 0.292
5 Li 0.333 0.667 0.041
6 Li 0.667 0.333 0.959
7 Li 0.333 0.667 0.708
8 Li 0.333 0.667 0.541
9 Zn 0.000 0.000 0.875
10 Zn 0.000 0.000 0.376
11 Zn 0.000 0.000 0.624
12 Zn 0.000 0.000 0.125
13 Si 0.333 0.667 0.875
14 Si 0.667 0.333 0.625
15 Si 0.333 0.667 0.375
16 Si 0.667 0.333 0.125

## Properties
DFT formation energy   -0.3326 eV/atom

Entry 2:
The following is a meta-GGA r2SCAN calculation of an optimized crystal structure of Li3Sn, from Materials Project.

abc: 4.627 4.627 4.627
angles: 60.00 60.00 60.00
Fractional coordinates of all 4 atoms:
1 Li 0.250 0.250 0.250
2 Li 0.750 0.750 0.750
3 Li 0.500 0.500 0.500
4 Sn 0.000 0.000 0.000

## Properties
DFT formation energy   -0.4324 eV/atom

Entry 3:
The following is a meta-GGA r2SCAN calculation of an optimized crystal structure of Li7Sn2, from Materials Project.

abc: 4.701 8.443 8.443
angles: 109.50 90.00 90.00
Fractional coordinates of all 18 atoms:
1 Li 0.000 0.000 0.000
2 Li 0.500 0.500 0.500
3 Li 0.000 0.344 0.344
4 Li 0.000 0.656 0.656
5 Li 0.500 0.173 0.827
6 Li 0.500 0.827 0.173
7 Li 0.000 0.345 0.030
8 Li 0.000 0.655 0.970
9 Li 0.000 0.030 0.345
10 Li 0.000 0.970 0.655
11 Li 0.500 0.504 0.184
12 Li 0.500 0.496 0.816
13 Li 0.500 0.184 0.504
14 Li 0.500 0.816 0.496
15 Sn 0.500 0.162 0.162
16 Sn 0.500 0.838 0.838
17 Sn 0.000 0.318 0.682
18 Sn 0.000 0.682 0.318

## Properties
DFT formation energy   -0.4246 eV/atom

Entry 4:
The following is a meta-GGA r2SCAN calculation of an optimized crystal structure of Li2ZnSn, from Materials Project.

abc: 4.557 4.557 4.557
angles: 60.00 60.00 60.00
Fractional coordinates of all 4 atoms:
1 Li 0.750 0.750 0.750
2 Li 0.500 0.500 0.500
3 Zn 0.250 0.250 0.250
4 Sn 0.000 0.000 0.000

## Properties
DFT formation energy   -0.3691 eV/atom

Entry 5:
The following is a meta-GGA r2SCAN calculation of an optimized crystal structure of LiTm2Tc, from Materials Project.

abc: 4.847 4.847 4.847
angles: 60.00 60.00 60.00
Fractional coordinates of all 4 atoms:
1 Li 0.250 0.250 0.250
2 Tm 0.000 0.000 0.000
3 Tm 0.500 0.500 0.500
4 Tc 0.750 0.750 0.750

## Properties
DFT formation energy   -0.0587 eV/atom

Entry 6:
The following is a meta-GGA r2SCAN calculation of an optimized crystal structure of LiZr2Tc, from Materials Project.

abc: 4.671 4.671 4.671
angles: 60.00 60.00 60.00
Fractional coordinates of all 4 atoms:
1 Li 0.250 0.250 0.250
2 Zr 0.000 0.000 0.000
3 Zr 0.500 0.500 0.500
4 Tc 0.750 0.750 0.750

## Properties
DFT formation energy   -0.1781 eV/atom

What is the formula in the sixth record?
LiZr2Tc

Which formula does entry 5 have?
LiTm2Tc

Number 2 is which compound?
Li3Sn